PBE-GGA P4Ru, relaxed; offset from the most stable computed form = 16 meV/atom; ΔH_f (0 K) = -431 meV per atom
1.0
-1.258 1.259 -4.352
-4.340 -1.692 0.765
-3.115 5.890 2.604
P Ru
8 2
direct
0.192 0.215 0.251
0.692 0.785 0.249
0.808 0.785 0.749
0.308 0.215 0.751
0.650 0.379 0.912
0.150 0.621 0.588
0.350 0.621 0.088
0.850 0.379 0.412
0.500 0.000 0.500
0.000 0.000 0.000